DFT (PBE) results for crystalline K2ZrCdH16C8O24 at its relaxed geometry.

Volume: 586 Å³/cell
Crystal system: tetragonal
Total magnetic moment: 0.00 μB per atom
Total energy after the MP2020 corrections: -6.58 eV/atom

a = 9.2394 Å, b = 9.2394 Å, c = 9.2394 Å
α = 103.72°, β = 103.72°, γ = 121.70°
Atoms (fractional coordinates):
K 0.5000 0.5000 0.0000
K 0.7500 0.2500 0.5000
Zr 0.2500 0.7500 0.5000
Cd 0.0000 0.0000 0.0000
H 0.3928 0.2269 0.6558
H 0.5712 0.7370 0.3442
H 0.2630 0.6072 0.8342
H 0.7731 0.4288 0.1658
H 0.4685 0.3829 0.5900
H 0.7929 0.8785 0.4100
H 0.1215 0.5315 0.9144
H 0.6171 0.2071 0.0856
H 0.6339 0.5501 0.4271
H 0.1229 0.2068 0.5729
H 0.7932 0.3661 0.9162
H 0.4499 0.8771 0.0838
H 0.4839 0.3277 0.3328
H 0.9950 0.1512 0.6672
H 0.8488 0.5161 0.8438
H 0.6723 0.0050 0.1562
C 0.5591 0.7945 0.7759
C 0.0186 0.7831 0.2241
C 0.2169 0.4409 0.2355
C 0.2055 0.9814 0.7645
C 0.6721 0.9477 0.7224
C 0.2253 0.9497 0.2776
C 0.0503 0.3279 0.2756
C 0.0523 0.7747 0.7244
O 0.3774 0.6941 0.6943
O 0.9998 0.6831 0.3057
O 0.3169 0.6226 0.3167
O 0.3059 0.0002 0.6833
O 0.6438 0.7785 0.8895
O 0.8890 0.7543 0.1105
O 0.2457 0.3562 0.1347
O 0.2215 0.1110 0.8653
O 0.8494 0.0532 0.7920
O 0.2611 0.0574 0.2080
O 0.9426 0.1506 0.2037
O 0.9468 0.7389 0.7963
O 0.5695 0.9530 0.6072
O 0.3458 0.9623 0.3928
O 0.0377 0.4305 0.3835
O 0.0470 0.6542 0.6165
O 0.3912 0.3307 0.6481
O 0.6826 0.7431 0.3519
O 0.2569 0.6088 0.9395
O 0.6693 0.3174 0.0605
O 0.5845 0.4326 0.4413
O 0.9913 0.1431 0.5587
O 0.8569 0.4155 0.8481
O 0.5674 0.0087 0.1519